[1]
NaZn2B5H20 (PBE, relaxed); energy relative to the lowest polymorph listed for this composition = 8 meV/atom; crystal system = monoclinic
1.0
0.281 9.459 -0.100
-0.992 -4.313 8.927
16.569 -0.475 1.613
H B Zn Na
80 20 8 4
Direct
0.718 0.149 0.459
0.032 0.284 0.567
0.695 0.392 0.187
0.027 0.068 0.880
0.473 0.932 0.380
0.704 0.413 0.861
0.236 0.869 0.886
0.411 0.825 0.147
0.532 0.284 0.933
0.895 0.567 0.208
0.773 0.253 0.344
0.973 0.932 0.120
0.324 0.426 0.790
0.264 0.131 0.386
0.060 0.847 0.959
0.176 0.574 0.290
0.282 0.570 0.393
0.273 0.253 0.156
0.805 0.608 0.687
0.089 0.175 0.647
0.395 0.567 0.292
0.250 0.719 0.067
0.527 0.068 0.620
0.626 0.871 0.886
0.250 0.281 0.567
0.824 0.426 0.710
0.718 0.430 0.607
0.456 0.141 0.713
0.282 0.851 0.541
0.468 0.716 0.067
0.974 0.954 0.768
0.750 0.281 0.933
0.956 0.141 0.787
0.204 0.413 0.639
0.675 0.132 0.710
0.374 0.129 0.114
0.296 0.587 0.139
0.782 0.570 0.107
0.605 0.433 0.708
0.981 0.258 0.155
0.796 0.587 0.361
0.089 0.667 0.563
0.305 0.608 0.813
0.044 0.859 0.213
0.589 0.667 0.937
0.544 0.859 0.287
0.415 0.334 0.438
0.526 0.046 0.268
0.585 0.666 0.562
0.195 0.392 0.313
0.481 0.258 0.345
0.085 0.666 0.938
0.560 0.847 0.541
0.519 0.742 0.655
0.750 0.719 0.433
0.727 0.747 0.844
0.218 0.430 0.893
0.411 0.333 0.063
0.227 0.747 0.656
0.126 0.871 0.614
0.782 0.851 0.959
0.474 0.954 0.732
0.218 0.149 0.041
0.911 0.825 0.353
0.676 0.574 0.210
0.105 0.433 0.792
0.736 0.869 0.614
0.019 0.742 0.845
0.175 0.132 0.790
0.874 0.129 0.386
0.911 0.333 0.437
0.968 0.716 0.433
0.940 0.153 0.041
0.915 0.334 0.062
0.764 0.131 0.114
0.026 0.046 0.232
0.825 0.868 0.210
0.325 0.868 0.290
0.589 0.175 0.853
0.440 0.153 0.459
0.238 0.474 0.825
0.104 0.783 0.907
0.178 0.785 0.593
0.467 0.928 0.305
0.355 0.710 0.103
0.396 0.217 0.407
0.822 0.215 0.407
0.533 0.072 0.695
0.855 0.710 0.397
0.604 0.783 0.593
0.678 0.785 0.907
0.262 0.526 0.325
0.896 0.217 0.093
0.738 0.474 0.675
0.645 0.290 0.897
0.033 0.072 0.805
0.762 0.526 0.175
0.322 0.215 0.093
0.145 0.290 0.603
0.967 0.928 0.195
0.147 0.296 0.736
0.427 0.859 0.619
0.073 0.141 0.119
0.927 0.859 0.881
0.353 0.704 0.236
0.647 0.296 0.764
0.853 0.704 0.264
0.573 0.141 0.381
0.360 0.717 0.938
0.640 0.283 0.062
0.860 0.717 0.562
0.140 0.283 0.438

***

[2]
NaZn2B5H20 (PBE, relaxed); energy relative to the lowest polymorph listed for this composition = 0 meV/atom; crystal system = monoclinic
1.0
7.501 -0.155 5.239
-5.587 -7.154 2.023
7.827 -9.360 -11.482
Zn B H Na
8 20 80 4
Direct
0.375 0.705 0.228
0.391 0.865 0.627
0.109 0.135 0.127
0.875 0.705 0.272
0.609 0.135 0.373
0.625 0.295 0.772
0.891 0.865 0.873
0.125 0.295 0.728
0.639 0.775 0.897
0.861 0.225 0.397
0.277 0.523 0.317
0.147 0.295 0.599
0.477 0.073 0.710
0.647 0.295 0.901
0.139 0.775 0.603
0.723 0.477 0.683
0.914 0.204 0.088
0.086 0.796 0.912
0.414 0.204 0.412
0.777 0.523 0.183
0.353 0.705 0.099
0.853 0.705 0.401
0.523 0.927 0.290
0.223 0.477 0.817
0.023 0.927 0.210
0.977 0.073 0.790
0.361 0.225 0.103
0.586 0.796 0.588
0.578 0.181 0.940
0.437 0.149 0.125
0.568 0.056 0.261
0.422 0.819 0.060
0.958 0.669 0.366
0.930 0.312 0.045
0.552 0.894 0.548
0.228 0.410 0.565
0.786 0.138 0.117
0.238 0.858 0.554
0.052 0.894 0.952
0.728 0.410 0.935
0.736 0.257 0.856
0.593 0.857 0.254
0.717 0.389 0.201
0.697 0.741 0.835
0.907 0.143 0.754
0.430 0.312 0.455
0.304 0.409 0.785
0.804 0.409 0.715
0.932 0.944 0.761
0.783 0.611 0.701
0.196 0.591 0.285
0.288 0.558 0.387
0.948 0.106 0.048
0.712 0.442 0.613
0.283 0.611 0.799
0.070 0.688 0.955
0.922 0.819 0.440
0.448 0.086 0.638
0.068 0.056 0.239
0.236 0.257 0.644
0.996 0.738 0.853
0.416 0.563 0.292
0.426 0.345 0.069
0.621 0.120 0.715
0.504 0.262 0.353
0.788 0.558 0.113
0.570 0.688 0.545
0.948 0.086 0.862
0.063 0.851 0.625
0.738 0.858 0.946
0.584 0.437 0.708
0.803 0.259 0.335
0.217 0.389 0.299
0.879 0.880 0.215
0.926 0.345 0.431
0.052 0.914 0.138
0.432 0.944 0.739
0.772 0.590 0.435
0.714 0.862 0.617
0.379 0.880 0.285
0.496 0.738 0.647
0.093 0.857 0.246
0.197 0.741 0.665
0.212 0.442 0.887
0.303 0.259 0.165
0.552 0.914 0.362
0.272 0.590 0.065
0.078 0.181 0.560
0.696 0.591 0.215
0.121 0.120 0.785
0.074 0.655 0.569
0.407 0.143 0.746
0.563 0.851 0.875
0.574 0.655 0.931
0.458 0.669 0.134
0.937 0.149 0.375
0.448 0.106 0.452
0.542 0.331 0.866
0.916 0.563 0.208
0.286 0.138 0.383
0.764 0.743 0.356
0.084 0.437 0.792
0.214 0.862 0.883
0.264 0.743 0.144
0.262 0.142 0.054
0.004 0.262 0.147
0.042 0.331 0.634
0.762 0.142 0.446
0.671 0.305 0.065
0.171 0.305 0.435
0.829 0.695 0.565
0.329 0.695 0.935

***

[3]
Rb3B2P3H2O13 (PBE, relaxed); crystal system = monoclinic
1.0
7.970 0.000 0.000
0.000 6.807 0.000
-1.407 0.000 24.777
Rb H O B P
12 8 52 8 12
Direct
0.526 0.702 0.851
0.526 0.798 0.351
0.474 0.298 0.149
0.191 0.237 0.984
0.242 0.210 0.808
0.191 0.263 0.484
0.809 0.737 0.516
0.809 0.763 0.016
0.474 0.202 0.649
0.758 0.710 0.692
0.758 0.790 0.192
0.242 0.290 0.308
0.869 0.263 0.211
0.293 0.743 0.479
0.293 0.757 0.979
0.707 0.257 0.521
0.131 0.737 0.789
0.707 0.243 0.021
0.131 0.763 0.289
0.869 0.237 0.711
0.033 0.518 0.895
0.967 0.482 0.105
0.952 0.187 0.888
0.048 0.687 0.612
0.757 0.074 0.423
0.725 0.435 0.327
0.139 0.811 0.948
0.829 0.298 0.654
0.952 0.313 0.388
0.581 0.192 0.260
0.595 0.273 0.998
0.119 0.337 0.616
0.188 0.924 0.673
0.861 0.311 0.552
0.405 0.727 0.002
0.113 0.693 0.748
0.696 0.060 0.924
0.304 0.560 0.576
0.547 0.693 0.095
0.275 0.565 0.673
0.881 0.663 0.384
0.595 0.227 0.498
0.171 0.798 0.846
0.881 0.837 0.884
0.812 0.076 0.327
0.119 0.163 0.116
0.033 0.982 0.395
0.887 0.193 0.752
0.812 0.424 0.827
0.453 0.307 0.905
0.419 0.808 0.740
0.861 0.189 0.052
0.581 0.308 0.760
0.171 0.702 0.346
0.757 0.426 0.923
0.887 0.307 0.252
0.243 0.574 0.077
0.113 0.807 0.248
0.188 0.576 0.173
0.453 0.193 0.405
0.829 0.202 0.154
0.405 0.773 0.502
0.139 0.689 0.448
0.243 0.926 0.577
0.725 0.065 0.827
0.304 0.940 0.076
0.275 0.935 0.173
0.696 0.440 0.424
0.048 0.813 0.112
0.419 0.692 0.240
0.967 0.018 0.605
0.547 0.807 0.595
0.892 0.114 0.383
0.892 0.386 0.883
0.824 0.041 0.881
0.176 0.959 0.119
0.176 0.541 0.619
0.108 0.614 0.117
0.108 0.886 0.617
0.824 0.459 0.381
0.742 0.250 0.290
0.063 0.748 0.893
0.258 0.750 0.210
0.937 0.252 0.107
0.617 0.232 0.435
0.617 0.268 0.935
0.383 0.768 0.565
0.742 0.250 0.790
0.063 0.752 0.393
0.937 0.248 0.607
0.383 0.732 0.065
0.258 0.750 0.710

***

[4]
RbB6H8O7 (PBE, relaxed); energy relative to the lowest polymorph listed for this composition = 33 meV/atom; crystal system = orthorhombic
1.0
4.277 -7.853 0.000
4.277 7.853 0.000
0.000 0.000 13.250
B H O Rb
24 32 28 4
Direct
0.833 0.019 0.048
0.519 0.333 0.452
0.318 0.434 0.575
0.959 0.959 0.123
0.541 0.541 0.623
0.041 0.041 0.877
0.309 0.309 0.468
0.459 0.459 0.377
0.667 0.481 0.548
0.691 0.691 0.532
0.182 0.066 0.075
0.333 0.519 0.452
0.167 0.981 0.952
0.566 0.682 0.425
0.066 0.182 0.075
0.434 0.318 0.575
0.191 0.191 0.968
0.019 0.833 0.048
0.809 0.809 0.032
0.981 0.167 0.952
0.481 0.667 0.548
0.682 0.566 0.425
0.818 0.934 0.925
0.934 0.818 0.925
0.064 0.645 0.785
0.145 0.564 0.715
0.865 0.719 0.317
0.845 0.845 0.639
0.719 0.865 0.317
0.200 0.547 0.339
0.047 0.700 0.161
0.564 0.145 0.715
0.155 0.155 0.361
0.855 0.436 0.285
0.345 0.345 0.861
0.135 0.281 0.683
0.989 0.989 0.730
0.281 0.135 0.683
0.355 0.936 0.215
0.300 0.953 0.839
0.800 0.453 0.661
0.700 0.047 0.161
0.635 0.781 0.817
0.953 0.300 0.839
0.655 0.655 0.139
0.511 0.511 0.230
0.011 0.011 0.270
0.936 0.355 0.215
0.645 0.064 0.785
0.436 0.855 0.285
0.219 0.365 0.183
0.781 0.635 0.817
0.453 0.800 0.661
0.547 0.200 0.339
0.489 0.489 0.770
0.365 0.219 0.183
0.882 0.665 0.860
0.978 0.315 0.910
0.665 0.882 0.860
0.916 0.916 0.230
0.022 0.685 0.090
0.853 0.853 0.566
0.315 0.978 0.910
0.618 0.835 0.360
0.478 0.815 0.590
0.172 0.672 0.750
0.416 0.416 0.270
0.118 0.335 0.140
0.522 0.185 0.410
0.382 0.165 0.640
0.828 0.328 0.250
0.835 0.618 0.360
0.185 0.522 0.410
0.084 0.084 0.770
0.672 0.172 0.750
0.335 0.118 0.140
0.584 0.584 0.730
0.165 0.382 0.640
0.353 0.353 0.934
0.685 0.022 0.090
0.328 0.828 0.250
0.647 0.647 0.066
0.815 0.478 0.590
0.147 0.147 0.434
0.678 0.322 0.000
0.822 0.178 0.500
0.178 0.822 0.500
0.322 0.678 0.000

***

no.,calculated formation energy (eV per atom)
1,-0.23
2,-0.24
3,-2.57
4,-1.35